UAl3Fe7Si2: optimized geometry, GGA-PBE.

Structure (POSCAR):
```
UAl3Fe7Si2
1.0
0.0000 0.0000 4.7199
-4.1773 4.1165 2.3599
-4.2503 -4.1894 -2.3599
U Al Fe Si
1 3 7 2
Direct
0.9910 0.0094 0.9914
0.3609 0.6485 0.3704
0.0086 0.3432 0.3603
0.9902 0.6572 0.6376
0.6647 0.3342 0.6637
0.7240 0.7688 0.2169
0.2772 0.2228 0.7772
0.5016 0.7773 0.7805
0.4914 0.2304 0.2132
0.5059 0.0047 0.5016
0.9911 0.0047 0.5016
0.4983 0.4994 0.9927
0.9950 0.4994 0.9927
```

Summary:
* SG: Cm, No. 8
* raw total energy: -7.33 eV/atom
* crystal system: monoclinic
* energy relative to the elements: -194 meV/atom